Entry 1:
Density functional theory data (PBE) for crystalline Rb2CeTa6Br15O3 at its relaxed geometry.

Lattice parameters (Å, degrees): 9.5993 9.5993 18.1059 90.00 90.00 120.00
Last column: nearest neighbours and their distance in Å.
Atoms (fractional coordinates):
Rb: 0.3333 0.6667 0.0475  9 Br 3.66-3.85
Rb: 0.3333 0.6667 0.4525  9 Br 3.66-3.85
Rb: 0.6667 0.3333 0.5475  9 Br 3.66-3.85
Rb: 0.6667 0.3333 0.9525  9 Br 3.66-3.85
Ce: 0.3333 0.6667 0.7500  3 O 2.53
Ce: 0.6667 0.3333 0.2500  3 O 2.53
Ta: 0.0167 0.1894 0.8142  1 O 2.00
Ta: 0.0167 0.8273 0.6858  1 O 2.00
Ta: 0.1727 0.1894 0.6858  1 O 2.00
Ta: 0.1727 0.9833 0.8142  1 O 2.00
Ta: 0.1894 0.0167 0.3142  1 O 2.00
Ta: 0.1894 0.1727 0.1858  1 O 2.00
Ta: 0.8106 0.8273 0.8142  1 O 2.00
Ta: 0.8106 0.9833 0.6858  1 O 2.00
Ta: 0.8273 0.0167 0.1858  1 O 2.00
Ta: 0.8273 0.8106 0.3142  1 O 2.00
Ta: 0.9833 0.1727 0.3142  1 O 2.00
Ta: 0.9833 0.8106 0.1858  1 O 2.00
Br: 0.0190 0.2233 0.0853  2 Ta 2.64-2.65
Br: 0.0190 0.7957 0.4147  2 Ta 2.64-2.65
Br: 0.0742 0.4708 0.8838  1 Ta 2.77, 1 O 3.01
Br: 0.0742 0.6033 0.6162  1 Ta 2.77, 1 O 3.01
Br: 0.2043 0.2233 0.4147  2 Ta 2.64-2.65
Br: 0.2043 0.9810 0.0853  2 Ta 2.64-2.65
Br: 0.2142 0.4285 0.2500  2 Ta 2.62
Br: 0.2142 0.7858 0.2500  2 Ta 2.62
Br: 0.2233 0.0190 0.5853  2 Ta 2.64-2.65
Br: 0.2233 0.2043 0.9147  2 Ta 2.64-2.65
Br: 0.3967 0.4708 0.6162  1 Ta 2.77, 1 O 3.01
Br: 0.3967 0.9258 0.8838  1 Ta 2.77, 1 O 3.01
Br: 0.4285 0.2142 0.7500  2 Ta 2.62
Br: 0.4708 0.0742 0.3838  1 Ta 2.77, 1 O 3.01
Br: 0.4708 0.3967 0.1162  1 Ta 2.77, 1 O 3.01
Br: 0.5292 0.6033 0.8838  1 Ta 2.77, 1 O 3.01
Br: 0.5292 0.9258 0.6162  1 Ta 2.77, 1 O 3.01
Br: 0.5715 0.7858 0.2500  2 Ta 2.62
Br: 0.6033 0.0742 0.1162  1 Ta 2.77, 1 O 3.01
Br: 0.6033 0.5292 0.3838  1 Ta 2.77, 1 O 3.01
Br: 0.7767 0.7957 0.0853  2 Ta 2.64-2.65
Br: 0.7767 0.9810 0.4147  2 Ta 2.64-2.65
Br: 0.7858 0.2142 0.7500  2 Ta 2.62
Br: 0.7858 0.5715 0.7500  2 Ta 2.62
Br: 0.7957 0.0190 0.9147  2 Ta 2.64-2.65
Br: 0.7957 0.7767 0.5853  2 Ta 2.64-2.65
Br: 0.9258 0.3967 0.3838  1 Ta 2.77, 1 O 3.01
Br: 0.9258 0.5292 0.1162  1 Ta 2.77, 1 O 3.01
Br: 0.9810 0.2043 0.5853  2 Ta 2.64-2.65
Br: 0.9810 0.7767 0.9147  2 Ta 2.64-2.65
O: 0.1814 0.3628 0.7500  2 Ta 2.00
O: 0.1814 0.8186 0.7500  2 Ta 2.00
O: 0.3628 0.1814 0.2500  2 Ta 2.00
O: 0.6372 0.8186 0.7500  2 Ta 2.00
O: 0.8186 0.1814 0.2500  2 Ta 2.00
O: 0.8186 0.6372 0.2500  2 Ta 2.00

Energy with MP2020 corrections   -159.9 eV/f.u.
Crystal system   trigonal
Energy relative to the elements   -1.537 eV/atom

Entry 2:
Density functional theory data (PBE) for crystalline Mg16Si8HO32 at its relaxed geometry.

Lattice parameters (Å, degrees): 5.7782 11.6575 8.4044 90.00 90.18 90.00
Last column: nearest neighbours and their distance in Å.
Atoms (fractional coordinates):
Mg: 0.0000 0.0000 0.0000  6 O 2.06-2.14
Mg: 0.0020 0.2486 0.0317  6 O 2.06-2.16
Mg: 0.0020 0.7514 0.0317  6 O 2.06-2.16
Mg: 0.0086 0.5000 0.0544  6 O 2.01-2.20
Mg: 0.2505 0.1207 0.2822  6 O 2.04-2.17
Mg: 0.2505 0.8793 0.2822  6 O 2.04-2.17
Mg: 0.2507 0.3773 0.7835  6 O 2.05-2.20
Mg: 0.2507 0.6227 0.7835  6 O 2.05-2.20
Mg: 0.4937 0.5000 0.5080  6 O 2.04-2.17
Mg: 0.4984 0.2482 0.5337  6 O 2.06-2.16
Mg: 0.4984 0.7518 0.5337  6 O 2.06-2.16
Mg: 0.5003 0.0000 0.5656  6 O 2.06-2.14
Mg: 0.7495 0.3771 0.7839  6 O 2.05-2.16
Mg: 0.7495 0.6229 0.7839  6 O 2.05-2.16
Mg: 0.7496 0.1205 0.2821  6 O 2.04-2.17
Mg: 0.7496 0.8795 0.2821  6 O 2.04-2.17
Si: 0.9999 0.1301 0.6494  4 O 1.65-1.73
Si: 0.9999 0.8699 0.6494  4 O 1.65-1.73
Si: 0.5002 0.1302 0.9161  4 O 1.65-1.73
Si: 0.5002 0.8698 0.9161  4 O 1.65-1.73
Si: 0.5045 0.3660 0.1483  4 O 1.65-1.79
Si: 0.5045 0.6340 0.1483  4 O 1.65-1.79
Si: 0.9960 0.3598 0.4221  3 O 1.64-1.65
Si: 0.9960 0.6402 0.4221  3 O 1.64-1.65
H: 0.7835 0.5000 0.2898  1 O 1.06
O: 0.0001 0.0000 0.2454  5 Mg 2.04-2.06
O: 0.0004 0.0000 0.7477  2 Si 1.73
O: 0.0012 0.2403 0.7758  1 Si 1.67
O: 0.0012 0.5000 0.8152  5 Mg 2.01-2.06
O: 0.0012 0.7597 0.7758  1 Si 1.67
O: 0.2374 0.1277 0.5399  1 Si 1.66
O: 0.2372 0.3745 0.5222  1 Si 1.64
O: 0.2372 0.6255 0.5222  1 Si 1.64
O: 0.2374 0.8723 0.5399  1 Si 1.66
O: 0.2626 0.1276 0.0254  1 Si 1.65
O: 0.2626 0.8724 0.0254  1 Si 1.65
O: 0.2637 0.3740 0.0432  1 Si 1.65
O: 0.2637 0.6260 0.0432  1 Si 1.65
O: 0.4990 0.2401 0.7893  1 Si 1.67
O: 0.4992 0.5000 0.7503  5 Mg 2.04-2.05
O: 0.4990 0.7599 0.7893  1 Si 1.67
O: 0.5000 0.0000 0.3199  5 Mg 2.04-2.06
O: 0.4997 0.0000 0.8178  2 Si 1.73
O: 0.5017 0.2588 0.2777  1 Si 1.66
O: 0.5017 0.7412 0.2777  1 Si 1.66
O: 0.5244 0.5000 0.2508  1 H 1.53
O: 0.7390 0.1276 0.0247  1 Si 1.65
O: 0.7390 0.8724 0.0247  1 Si 1.65
O: 0.7434 0.3720 0.0399  1 Si 1.66
O: 0.7434 0.6280 0.0399  1 Si 1.66
O: 0.7571 0.3714 0.5274  1 Si 1.65
O: 0.7571 0.6286 0.5274  1 Si 1.65
O: 0.7614 0.1275 0.5405  1 Si 1.65
O: 0.7614 0.8725 0.5405  1 Si 1.65
O: 0.9639 0.5000 0.3143  1 H 1.06
O: 0.9987 0.2569 0.2880  1 Si 1.65
O: 0.9987 0.7431 0.2880  1 Si 1.65

Energy with MP2020 corrections   -404.3 eV/f.u.
ΔE to the lowest computed polymorph   0.071 eV per atom
Crystal system   monoclinic
Energy relative to the elements   -3.045 eV/atom

Entry 3:
Density functional theory data (PBE) for crystalline OsN2 at its relaxed geometry.

Lattice parameters (Å, degrees): 3.0058 3.0058 3.7759 90.00 90.00 120.00
Last column: nearest neighbours and their distance in Å.
Atoms (fractional coordinates):
Os: 0.0000 0.0000 0.0000  6 N 2.13
N: 0.6667 0.3333 0.3268  1 N 1.31
N: 0.6667 0.3333 0.6732  1 N 1.31

Energy with MP2020 corrections   -25.8 eV/f.u.
ΔE to the lowest computed polymorph   0.640 eV per atom
Crystal system   hexagonal
Energy relative to the elements   0.701 eV/atom